## PmHoRh2 (PBE)

Data for a relaxed PmHoRh2 crystal.

Structure (extended XYZ):
```
4
Lattice="3.7388 -3.1775 -0.1962 -0.7601 -4.5922 -1.5645 1.7744 -1.4382 -4.3470" Properties=species:S:1:pos:R:3 pbc="T T T"
Ho 2.3766 -4.6039 -3.0538
Pm 0.0000 0.0000 0.0000
Rh 3.5649 -6.9059 -4.5807
Rh 1.1883 -2.3020 -1.5269
```

Output
SG: Fm-3m (225)
Electronic total energy (eV/atom): -6.799
Energy of formation (kJ per mole of atoms): -76